r²SCAN TmMn6Sn6, optimized geometry; uncorrected energy = -21.1453 eV per atom; spin magnetization = 21.0 μB per formula unit; formation energy = -0.245 eV/atom
1.0
5.6704 0.0000 0.0000
-2.8352 4.9107 0.0000
0.0000 0.0000 9.1439
Tm Mn Sn
1 6 6
direct
0.0000 0.0000 0.0000
0.0000 0.5000 0.2468
0.0000 0.5000 0.7532
0.5000 0.0000 0.2468
0.5000 0.0000 0.7532
0.5000 0.5000 0.2468
0.5000 0.5000 0.7532
0.0000 0.0000 0.3335
0.0000 0.0000 0.6665
0.3333 0.6667 0.0000
0.3333 0.6667 0.5000
0.6667 0.3333 0.0000
0.6667 0.3333 0.5000

r²SCAN YMn6Sn6, optimized geometry; uncorrected energy = -20.0212 eV per atom; spin magnetization = 21.1 μB per formula unit; formation energy = -0.260 eV/atom
1.0
5.6876 0.0000 0.0000
-2.8438 4.9256 0.0000
0.0000 0.0000 9.1731
Y Mn Sn
1 6 6
direct
0.0000 0.0000 0.0000
0.0000 0.5000 0.2469
0.0000 0.5000 0.7531
0.5000 0.0000 0.2469
0.5000 0.0000 0.7531
0.5000 0.5000 0.2469
0.5000 0.5000 0.7531
0.0000 0.0000 0.3357
0.0000 0.0000 0.6643
0.3333 0.6667 0.0000
0.3333 0.6667 0.5000
0.6667 0.3333 0.0000
0.6667 0.3333 0.5000

r²SCAN Ta2MnV3, optimized geometry; uncorrected energy = -25.8884 eV per atom; spin magnetization = 0.0 μB per formula unit; formation energy = -0.199 eV/atom
1.0
2.5112 1.4498 3.9705
-2.5112 1.4498 3.9705
0.0000 -2.8997 3.9705
Ta Mn V
2 1 3
direct
0.1255 0.1255 0.1255
0.8745 0.8745 0.8745
0.5000 0.5000 0.5000
0.0000 0.5000 0.5000
0.5000 0.0000 0.5000
0.5000 0.5000 0.0000

r²SCAN MnTe2, optimized geometry; uncorrected energy = -22.2619 eV per atom; spin magnetization = 5.0 μB per formula unit; formation energy = -0.423 eV/atom
1.0
6.9994 0.0000 0.0000
0.0000 6.9994 0.0000
0.0000 0.0000 6.9994
Mn Te
4 8
direct
0.0000 0.0000 0.0000
0.0000 0.5000 0.5000
0.5000 0.0000 0.5000
0.5000 0.5000 0.0000
0.1145 0.6145 0.8855
0.1145 0.8855 0.3855
0.3855 0.1145 0.8855
0.3855 0.3855 0.3855
0.6145 0.6145 0.6145
0.6145 0.8855 0.1145
0.8855 0.1145 0.6145
0.8855 0.3855 0.1145

r²SCAN MnZnTe2, optimized geometry; uncorrected energy = -19.1960 eV per atom; spin magnetization = 5.0 μB per formula unit; formation energy = -0.589 eV/atom
1.0
4.4047 0.0000 0.0000
0.0000 4.4047 0.0000
0.0000 0.0000 6.2495
Mn Zn Te
1 1 2
direct
0.0000 0.0000 0.0000
0.5000 0.5000 0.5000
0.0000 0.5000 0.2598
0.5000 0.0000 0.7402

r²SCAN MnZnTe2, optimized geometry; uncorrected energy = -19.1920 eV per atom; spin magnetization = 5.0 μB per formula unit; formation energy = -0.585 eV/atom
1.0
2.2036 1.2723 7.2181
-2.2036 1.2723 7.2181
0.0000 -2.5445 7.2181
Mn Zn Te
1 1 2
direct
0.0000 0.0000 0.0000
0.5010 0.5010 0.5010
0.3784 0.3784 0.3784
0.8735 0.8735 0.8735

r²SCAN Zr6MnTe2, optimized geometry; uncorrected energy = -23.0152 eV per atom; spin magnetization = 2.6 μB per formula unit; formation energy = -0.569 eV/atom
1.0
7.7500 0.0000 0.0000
-3.8750 6.7117 0.0000
0.0000 0.0000 3.7434
Zr Mn Te
6 1 2
direct
0.0000 0.2413 0.0000
0.0000 0.5920 0.5000
0.2413 0.0000 0.0000
0.4080 0.4080 0.5000
0.5920 0.0000 0.5000
0.7587 0.7587 0.0000
0.0000 0.0000 0.5000
0.3333 0.6667 0.0000
0.6667 0.3333 0.0000

r²SCAN TiMn2V, optimized geometry; uncorrected energy = -14.3198 eV per atom; spin magnetization = 0.9 μB per formula unit; formation energy = -0.221 eV/atom
1.0
0.0000 2.9748 2.9748
2.9748 0.0000 2.9748
2.9748 2.9748 0.0000
Ti Mn V
1 2 1
direct
0.0000 0.0000 0.0000
0.2500 0.2500 0.2500
0.7500 0.7500 0.7500
0.5000 0.5000 0.5000

r²SCAN Ti4Mn5V3, optimized geometry; uncorrected energy = -14.0590 eV per atom; spin magnetization = 0.0 μB per formula unit; formation energy = -0.106 eV/atom
1.0
7.8625 0.0000 0.0000
0.0000 2.4076 4.1969
0.0000 -2.4076 4.1969
Ti Mn V
4 5 3
direct
0.1842 0.0000 0.0000
0.3091 0.3326 0.3326
0.6909 0.3326 0.3326
0.8158 0.0000 0.0000
0.0000 0.0155 0.4915
0.0000 0.4915 0.0155
0.0000 0.4927 0.4927
0.5000 0.3264 0.8408
0.5000 0.8408 0.3264
0.2412 0.6629 0.6629
0.5000 0.8391 0.8391
0.7588 0.6629 0.6629

r²SCAN TmMn12, optimized geometry; uncorrected energy = -16.3481 eV per atom; spin magnetization = 7.0 μB per formula unit; formation energy = -0.093 eV/atom
1.0
2.5275 -6.2699 0.0000
2.5275 6.2699 0.0000
-2.3254 0.0000 6.3529
Tm Mn
1 12
direct
0.0000 0.0000 0.0000
0.0000 0.0000 0.5000
0.0000 0.5000 0.0000
0.0107 0.6624 0.6440
0.2843 0.5107 0.7779
0.3376 0.9893 0.3560
0.4893 0.7157 0.2221
0.5000 0.0000 0.0000
0.5000 0.5000 0.5000
0.5107 0.2843 0.7779
0.6624 0.0107 0.6440
0.7157 0.4893 0.2221
0.9893 0.3376 0.3560

r²SCAN TmMn2, optimized geometry; uncorrected energy = -21.5264 eV per atom; spin magnetization = 6.5 μB per formula unit; formation energy = -0.031 eV/atom
1.0
5.6080 0.0000 0.0000
-2.8040 4.8567 0.0000
0.0000 0.0000 8.7240
Tm Mn
4 8
direct
0.3333 0.6667 0.0594
0.3333 0.6667 0.4406
0.6667 0.3333 0.5594
0.6667 0.3333 0.9406
0.0000 0.0000 0.0000
0.0000 0.0000 0.5000
0.1726 0.3452 0.7500
0.1726 0.8274 0.7500
0.3452 0.1726 0.2500
0.6548 0.8274 0.7500
0.8274 0.1726 0.2500
0.8274 0.6548 0.2500

r²SCAN MnV3, optimized geometry; uncorrected energy = -14.3181 eV per atom; spin magnetization = 0.0 μB per formula unit; formation energy = -0.080 eV/atom
1.0
0.0000 2.9122 2.9122
2.9122 0.0000 2.9122
2.9122 2.9122 0.0000
Mn V
1 3
direct
0.0000 0.0000 0.0000
0.2500 0.2500 0.2500
0.5000 0.5000 0.5000
0.7500 0.7500 0.7500

r²SCAN YMn12, optimized geometry; uncorrected energy = -15.0454 eV per atom; spin magnetization = 2.4 μB per formula unit; formation energy = 0.071 eV/atom
1.0
-4.2380 4.2380 2.4583
4.2380 -4.2380 2.4583
4.2380 4.2380 -2.4583
Y Mn
1 12
direct
0.0000 0.0000 0.0000
0.0000 0.0000 0.5000
0.0000 0.3722 0.3722
0.0000 0.5000 0.0000
0.0000 0.6278 0.6278
0.2688 0.5000 0.7688
0.3722 0.0000 0.3722
0.5000 0.0000 0.0000
0.5000 0.2688 0.7688
0.5000 0.5000 0.5000
0.5000 0.7312 0.2312
0.6278 0.0000 0.6278
0.7312 0.5000 0.2312

r²SCAN YbMn3, optimized geometry; uncorrected energy = -20.1644 eV per atom; spin magnetization = 9.9 μB per formula unit; formation energy = -0.020 eV/atom
1.0
4.0799 0.0000 0.0000
0.0000 4.0799 0.0000
0.0000 0.0000 4.0799
Yb Mn
1 3
direct
0.0000 0.0000 0.0000
0.0000 0.5000 0.5000
0.5000 0.0000 0.5000
0.5000 0.5000 0.0000

r²SCAN Yb3Mn, optimized geometry; uncorrected energy = -30.9694 eV per atom; spin magnetization = 3.7 μB per formula unit; formation energy = 0.099 eV/atom
1.0
0.0000 3.7338 3.7338
3.7338 0.0000 3.7338
3.7338 3.7338 0.0000
Yb Mn
3 1
direct
0.0000 0.0000 0.0000
0.2500 0.2500 0.2500
0.7500 0.7500 0.7500
0.5000 0.5000 0.5000

r²SCAN MnZn3, optimized geometry; uncorrected energy = -10.4710 eV per atom; spin magnetization = 3.2 μB per formula unit; formation energy = -0.117 eV/atom
1.0
3.8089 0.0000 0.0000
0.0000 3.8089 0.0000
0.0000 0.0000 3.8089
Mn Zn
1 3
direct
0.0000 0.0000 0.0000
0.0000 0.5000 0.5000
0.5000 0.0000 0.5000
0.5000 0.5000 0.0000

r²SCAN Mo, optimized geometry; uncorrected energy = -26.0720 eV per atom; spin magnetization = 0.0 μB per formula unit; formation energy = 0.000 eV/atom
1.0
-1.5838 1.5838 1.5838
1.5838 -1.5838 1.5838
1.5838 1.5838 -1.5838
Mo
1
direct
0.0000 0.0000 0.0000

r²SCAN Mo15N16, optimized geometry; uncorrected energy = -17.8502 eV per atom; spin magnetization = 0.0 μB per formula unit; formation energy = -0.523 eV/atom
1.0
5.5615 -5.7176 0.0000
5.5615 5.7176 0.0000
-0.0115 0.0000 10.0061
Mo N
30 32
direct
0.0032 0.9971 0.5004
0.1300 0.8714 0.7201
0.1308 0.3723 0.2451
0.1319 0.8731 0.2232
0.1336 0.3708 0.7502
0.2377 0.7395 0.0007
0.2498 0.2512 0.4715
0.2512 0.2498 0.9715
0.2641 0.7622 0.4927
0.3708 0.1336 0.2502
0.3711 0.6300 0.7200
0.3723 0.1308 0.7451
0.3730 0.6322 0.2230
0.4953 0.5047 0.5000
0.4989 0.9975 0.9685
0.5047 0.4953 0.0000
0.6300 0.3711 0.2200
0.6309 0.8720 0.7451
0.6322 0.3730 0.7230
0.6340 0.8706 0.2493
0.7395 0.2377 0.5007
0.7482 0.7526 0.9718
0.7526 0.7482 0.4718
0.7622 0.2641 0.9927
0.8714 0.1300 0.2201
0.8706 0.6340 0.7493
0.8720 0.6309 0.2451
0.8731 0.1319 0.7232
0.9971 0.0032 0.0004
0.9975 0.4989 0.4685
0.1313 0.6315 0.3165
0.1312 0.6317 0.8158
0.1335 0.1349 0.6503
0.1349 0.1335 0.1503
0.2406 0.4925 0.5688
0.2406 0.9920 0.8999
0.2506 0.4928 0.0668
0.2509 0.9975 0.4013
0.3822 0.8819 0.6560
0.3845 0.3872 0.3196
0.3858 0.8859 0.1505
0.3872 0.3845 0.8196
0.4913 0.7398 0.9000
0.4925 0.2406 0.0688
0.4928 0.2506 0.5668
0.4981 0.7511 0.4003
0.6315 0.1313 0.8165
0.6317 0.1312 0.3158
0.6330 0.6344 0.1500
0.6344 0.6330 0.6500
0.7398 0.4913 0.4000
0.7413 0.9938 0.0684
0.7500 0.9919 0.5677
0.7511 0.4981 0.9003
0.8819 0.3822 0.1560
0.8847 0.8872 0.8199
0.8859 0.3858 0.6505
0.8872 0.8847 0.3199
0.9920 0.2406 0.3999
0.9919 0.7500 0.0677
0.9938 0.7413 0.5684
0.9975 0.2509 0.9013

r²SCAN Mo3Pt2N, optimized geometry; uncorrected energy = -32.1439 eV per atom; spin magnetization = 0.0 μB per formula unit; formation energy = -0.424 eV/atom
1.0
6.8583 0.0000 0.0000
0.0000 6.8583 0.0000
0.0000 0.0000 6.8583
Mo Pt N
12 8 4
direct
0.0496 0.1250 0.7996
0.1250 0.7996 0.0496
0.2004 0.5496 0.3750
0.2996 0.4504 0.8750
0.3750 0.2004 0.5496
0.4504 0.8750 0.2996
0.5496 0.3750 0.2004
0.6250 0.7004 0.9504
0.7004 0.9504 0.6250
0.7996 0.0496 0.1250
0.8750 0.2996 0.4504
0.9504 0.6250 0.7004
0.0570 0.9430 0.4430
0.1930 0.1930 0.1930
0.3070 0.8070 0.6930
0.4430 0.0570 0.9430
0.5570 0.5570 0.5570
0.6930 0.3070 0.8070
0.8070 0.6930 0.3070
0.9430 0.4430 0.0570
0.1250 0.3750 0.6250
0.3750 0.6250 0.1250
0.6250 0.1250 0.3750
0.8750 0.8750 0.8750